[1]
DFT (GGA-PBE) results for a geometry-optimized UP2O7 structure.

Cell lengths 8.878, 8.878, 8.889 Å; angles 90.00, 90.00, 90.00 degrees
Sites, in units of the cell vectors:
P 0.597 0.107 0.351
O 0.974 0.474 0.250
O 0.946 0.568 0.987
O 0.446 0.432 0.013
O 0.753 0.546 0.690
O 0.225 0.935 0.169
P 0.393 0.403 0.852
O 0.946 0.068 0.013
U 0.494 0.505 0.250
O 0.253 0.954 0.690
O 0.436 0.247 0.795
O 0.974 0.974 0.750
U 0.494 0.005 0.750
O 0.080 0.725 0.687
O 0.553 0.572 0.486
U 0.994 0.495 0.750
O 0.053 0.928 0.486
O 0.553 0.072 0.514
P 0.893 0.597 0.148
P 0.893 0.097 0.852
P 0.097 0.893 0.649
O 0.936 0.253 0.795
O 0.080 0.225 0.313
O 0.436 0.747 0.205
O 0.053 0.428 0.514
O 0.225 0.435 0.831
P 0.597 0.607 0.649
O 0.580 0.775 0.687
O 0.474 0.526 0.750
O 0.474 0.026 0.250
P 0.393 0.903 0.148
O 0.446 0.932 0.987
O 0.725 0.065 0.831
P 0.097 0.393 0.351
O 0.936 0.753 0.205
O 0.753 0.046 0.310
O 0.253 0.454 0.310
O 0.580 0.275 0.313
U 0.994 0.995 0.250
O 0.725 0.565 0.169

For the mass density, the calculation gives 3.9 g/cm3. The formation energy comes out at -3.0471 eV/atom. The value obtained for the calculated volume is 701 Å³/cell. The value obtained for the spin magnetization is 8.00 Bohr magnetons per cell. As for the space group: Pca2_1. The total energy is -8.24 eV/atom.

=====

[2]
DFT (GGA-PBE) results for a geometry-optimized IrN structure.

Cell lengths 4.104, 4.104, 4.104 Å; angles 90.00, 90.00, 90.00 degrees
Sites, in units of the cell vectors:
N 0.000 0.500 0.000
Ir 0.500 0.500 0.000
Ir 0.500 0.000 0.500
Ir 0.000 0.500 0.500
N 0.500 0.000 0.000
N 0.000 0.000 0.500

For the mass density, the calculation gives 14.9 g/cm3. The formation energy comes out at 0.7191 eV/atom. The value obtained for the calculated volume is 69 Å³/cell. The value obtained for the spin magnetization is 0.00 Bohr magnetons per cell. As for the space group: Pm-3m. The total energy is -7.69 eV/atom.

=====

[3]
DFT (GGA-PBE) results for a geometry-optimized KMg6Cr structure.

Cell lengths 5.271, 6.713, 11.448 Å; angles 90.00, 90.00, 90.00 degrees
Sites, in units of the cell vectors:
Mg 0.500 0.500 0.157
Mg 0.500 0.000 0.657
Mg 0.000 0.253 0.083
Mg 0.500 0.273 0.918
Mg 0.500 0.727 0.918
Cr 0.000 0.000 0.334
K 0.000 0.500 0.335
K 0.000 0.000 0.835
Mg 0.000 0.747 0.083
Cr 0.000 0.500 0.834
Mg 0.500 0.000 0.171
Mg 0.000 0.753 0.583
Mg 0.500 0.773 0.418
Mg 0.000 0.247 0.583
Mg 0.500 0.500 0.671
Mg 0.500 0.227 0.418

For the mass density, the calculation gives 1.9 g/cm3. The formation energy comes out at 0.3516 eV/atom. The value obtained for the calculated volume is 405 Å³/cell. The value obtained for the spin magnetization is 8.90 Bohr magnetons per cell. The total energy is -2.19 eV/atom.

=====

[4]
DFT (GGA-PBE) results for a geometry-optimized LiW3 structure.

Cell lengths 3.934, 3.934, 3.934 Å; angles 90.00, 90.00, 90.00 degrees
Sites, in units of the cell vectors:
W 0.500 0.000 0.500
W 0.000 0.500 0.500
Li 0.000 0.000 0.000
W 0.500 0.500 0.000

For the mass density, the calculation gives 15.2 g/cm3. The formation energy comes out at 0.4947 eV/atom. The value obtained for the calculated volume is 61 Å³/cell. The value obtained for the spin magnetization is 0.00 Bohr magnetons per cell. As for the space group: Pm-3m. The total energy is -9.70 eV/atom.

=====

[5]
DFT (GGA-PBE) results for a geometry-optimized PdPb2Cl6 structure.

Cell lengths 6.531, 8.177, 9.204 Å; angles 88.78, 90.00, 90.00 degrees
Sites, in units of the cell vectors:
Cl 0.148 0.333 0.560
Cl 0.352 0.833 0.560
Cl 0.623 0.470 0.763
Cl 0.648 0.167 0.440
Cl 0.377 0.530 0.237
Pb 0.957 0.376 0.283
Cl 0.797 0.642 0.060
Pb 0.543 0.876 0.283
Cl 0.877 0.970 0.763
Cl 0.203 0.358 0.940
Pb 0.457 0.124 0.717
Cl 0.703 0.142 0.060
Cl 0.852 0.667 0.440
Cl 0.123 0.030 0.237
Pb 0.043 0.624 0.717
Cl 0.297 0.858 0.940
Pd 0.000 0.000 0.000
Pd 0.500 0.500 0.000

For the mass density, the calculation gives 5.0 g/cm3. The formation energy comes out at -1.3319 eV/atom. The value obtained for the calculated volume is 491 Å³/cell. As for the space group: P2_1/c. The total energy is -3.56 eV/atom.

=====

[6]
DFT (GGA-PBE) results for a geometry-optimized Ca6Br2N3Cl structure.

Cell lengths 3.701, 3.701, 20.514 Å; angles 90.00, 90.00, 120.00 degrees
Sites, in units of the cell vectors:
Br 0.333 0.667 0.668
Ca 0.667 0.333 0.559
Ca 0.333 0.667 0.441
N 0.333 0.667 0.163
Ca 0.000 0.000 0.778
Ca 0.667 0.333 0.103
Ca 0.000 0.000 0.222
N 0.000 0.000 0.500
Cl 0.000 0.000 0.000
N 0.667 0.333 0.837
Ca 0.333 0.667 0.897
Br 0.667 0.333 0.332

For the mass density, the calculation gives 3.3 g/cm3. The formation energy comes out at -1.5120 eV/atom. The value obtained for the calculated volume is 243 Å³/cell. The value obtained for the spin magnetization is 0.01 Bohr magnetons per cell. As for the space group: P-3m1. The total energy is -4.97 eV/atom.

=====

[7]
DFT (GGA-PBE) results for a geometry-optimized K2Ta3Cl9 structure.

Cell lengths 9.890, 9.890, 9.741 Å; angles 77.37, 77.37, 117.73 degrees
Sites, in units of the cell vectors:
K 0.550 0.229 0.826
Cl 0.892 0.503 0.820
Cl 0.318 0.318 0.171
Ta 0.953 0.782 0.638
Cl 0.732 0.732 0.216
Cl 0.108 0.497 0.180
Cl 0.916 0.120 0.185
Ta 0.782 0.953 0.638
K 0.229 0.550 0.826
Cl 0.795 0.205 0.500
Cl 0.084 0.880 0.815
Cl 0.598 0.805 0.514
Cl 0.205 0.795 0.500
Ta 0.218 0.047 0.362
K 0.450 0.771 0.174
Cl 0.497 0.108 0.180
Cl 0.402 0.195 0.486
Cl 0.805 0.598 0.514
Cl 0.195 0.402 0.486
Ta 0.118 0.118 0.627
Ta 0.047 0.218 0.362
K 0.771 0.450 0.174
Cl 0.682 0.682 0.829
Cl 0.268 0.268 0.784
Cl 0.503 0.892 0.820
Cl 0.880 0.084 0.815
Ta 0.882 0.882 0.373
Cl 0.120 0.916 0.185

For the mass density, the calculation gives 4.1 g/cm3. The formation energy comes out at -1.8799 eV/atom. The value obtained for the calculated volume is 764 Å³/cell. As for the space group: C2/m. The total energy is -5.37 eV/atom.

=====

[8]
DFT (GGA-PBE) results for a geometry-optimized CsK2AsF6 structure.

Cell lengths 6.854, 6.854, 6.854 Å; angles 60.00, 60.00, 60.00 degrees
Sites, in units of the cell vectors:
F 0.213 0.213 0.787
K 0.750 0.750 0.750
F 0.787 0.213 0.213
As 0.000 0.000 0.000
F 0.213 0.787 0.213
F 0.787 0.787 0.213
K 0.250 0.250 0.250
F 0.213 0.787 0.787
F 0.787 0.213 0.787
Cs 0.500 0.500 0.500

For the mass density, the calculation gives 2.9 g/cm3. The formation energy comes out at -2.6744 eV/atom. The value obtained for the calculated volume is 228 Å³/cell. The value obtained for the spin magnetization is 0.00 Bohr magnetons per cell. As for the space group: Fm-3m. The total energy is -4.32 eV/atom.

=====

[9]
DFT (GGA-PBE) results for a geometry-optimized ThC structure.

Cell lengths 3.193, 3.193, 3.193 Å; angles 90.00, 90.00, 90.00 degrees
Sites, in units of the cell vectors:
Th 0.000 0.000 0.000
C 0.500 0.500 0.500

For the mass density, the calculation gives 12.4 g/cm3. The formation energy comes out at 0.3688 eV/atom. The value obtained for the calculated volume is 33 Å³/cell. The value obtained for the spin magnetization is 0.00 Bohr magnetons per cell. As for the space group: Pm-3m. The total energy is -7.95 eV/atom.

=====

[10]
DFT (GGA-PBE) results for a geometry-optimized CaRhO3 structure.

Cell lengths 5.406, 5.654, 7.727 Å; angles 90.00, 90.00, 90.00 degrees
Sites, in units of the cell vectors:
O 0.393 0.963 0.250
O 0.893 0.537 0.750
Ca 0.018 0.935 0.750
O 0.806 0.802 0.445
Rh 0.500 0.000 0.000
Rh 0.500 0.000 0.500
O 0.194 0.198 0.555
O 0.107 0.463 0.250
Ca 0.482 0.435 0.750
Rh 0.000 0.500 0.500
O 0.306 0.698 0.945
O 0.607 0.037 0.750
O 0.694 0.302 0.445
Rh 0.000 0.500 0.000
O 0.806 0.802 0.055
Ca 0.982 0.065 0.250
O 0.194 0.198 0.945
O 0.694 0.302 0.055
O 0.306 0.698 0.555
Ca 0.518 0.565 0.250

For the mass density, the calculation gives 5.4 g/cm3. The formation energy comes out at -2.0793 eV/atom. The value obtained for the calculated volume is 236 Å³/cell. As for the space group: Pnma. The total energy is -6.51 eV/atom.

=====

[11]
DFT (GGA-PBE) results for a geometry-optimized Li2SO4 structure.

Cell lengths 4.971, 4.971, 6.211 Å; angles 90.00, 90.00, 112.01 degrees
Sites, in units of the cell vectors:
Li 0.175 0.825 0.250
O 0.749 0.251 0.056
O 0.749 0.251 0.444
O 0.251 0.749 0.944
O 0.179 0.255 0.250
Li 0.825 0.175 0.750
O 0.255 0.179 0.750
S 0.853 0.147 0.250
O 0.251 0.749 0.556
Li 0.500 0.500 0.000
Li 0.500 0.500 0.500
S 0.147 0.853 0.750
O 0.745 0.821 0.250
O 0.821 0.745 0.750

For the mass density, the calculation gives 2.6 g/cm3. The formation energy comes out at -2.2565 eV/atom. The value obtained for the calculated volume is 142 Å³/cell. The value obtained for the spin magnetization is 0.00 Bohr magnetons per cell. As for the space group: Cmcm. The total energy is -5.83 eV/atom.

=====

[12]
DFT (GGA-PBE) results for a geometry-optimized Mg4Te3S structure.

Cell lengths 4.459, 6.252, 8.984 Å; angles 90.00, 90.00, 90.00 degrees
Sites, in units of the cell vectors:
Te 0.500 0.750 0.988
Mg 0.000 0.019 0.524
Mg 0.500 0.508 0.250
Te 0.000 0.243 0.250
Mg 0.000 0.019 0.976
S 0.000 0.253 0.750
Te 0.500 0.750 0.512
Mg 0.500 0.460 0.750

For the mass density, the calculation gives 3.4 g/cm3. The formation energy comes out at -1.0420 eV/atom. The value obtained for the calculated volume is 250 Å³/cell. The value obtained for the spin magnetization is 0.00 Bohr magnetons per cell. As for the space group: Pmm2. The total energy is -3.48 eV/atom.